# PBE TmClO, optimized geometry
# Formation energy = -3310 meV per atom
# Space-group type = No. 129
# E = -20.514 eV per formula unit
data_TmClO
_cell_length_a 3.8472
_cell_length_b 3.8472
_cell_length_c 6.6983
_cell_angle_alpha 90.00
_cell_angle_beta 90.00
_cell_angle_gamma 90.00
_space_group_name_H-M_alt 'P 1'
_space_group_IT_number 1
loop_
_space_group_symop_operation_xyz
'x,y,z'
loop_
_atom_site_label
_atom_site_type_symbol
_atom_site_fract_x
_atom_site_fract_y
_atom_site_fract_z
_atom_site_occupancy
Tm1 Tm 0.2500 0.2500 0.1638 1
Tm2 Tm 0.7500 0.7500 0.8362 1
Cl1 Cl 0.2500 0.2500 0.6293 1
Cl2 Cl 0.7500 0.7500 0.3707 1
O1 O 0.2500 0.7500 0.0000 1
O2 O 0.7500 0.2500 0.0000 1